# 1
## Pd3Rh (PBE-GGA)

Data for a geometry-optimized Pd3Rh structure.

Energy of formation from the pure elements (eV per atom): 0.067

Cell lengths 3.9428, 3.9428, 7.8117 Å; angles 90.00, 90.00, 90.00 degrees
Space group I4/mmm (No. 139)
One atom of each set of equivalent atoms:
Pd 0.0000 0.0000 0.0000 [2 per cell]
Pd 0.0000 0.5000 0.2500 [4 per cell]
Rh 0.0000 0.0000 0.5000 [2 per cell]


# 2
## Ta4Pd9Rh3 (PBE-GGA)

Data for a geometry-optimized Ta4Pd9Rh3 structure.

Energy of formation from the pure elements (eV per atom): -0.498

Cell lengths 5.5858, 5.5858, 9.1602 Å; angles 90.00, 90.00, 120.00 degrees
Space group P-6m2 (No. 187)
One atom of each set of equivalent atoms:
Ta 0.0000 0.0000 0.0000 [1 per cell]
Ta 0.3333 0.6667 0.2326 [2 per cell]
Ta 0.6667 0.3333 0.5000 [1 per cell]
Pd 0.1677 0.3354 0.5000 [3 per cell]
Pd 0.3355 0.1678 0.2490 [6 per cell]
Rh 0.5007 0.0015 0.0000 [3 per cell]


# 3
## Tb2PdRh (PBE-GGA)

Data for a geometry-optimized Tb2PdRh structure.

Energy of formation from the pure elements (eV per atom): -0.863

Cell lengths 6.9640, 6.9640, 6.9640 Å; angles 90.00, 90.00, 90.00 degrees
Space group Fm-3m (No. 225)
One atom of each set of equivalent atoms:
Tb 0.2500 0.2500 0.2500 [8 per cell]
Pd 0.0000 0.0000 0.0000 [4 per cell]
Rh 0.0000 0.0000 0.5000 [4 per cell]


# 4
## Tm2PdRh (PBE-GGA)

Data for a geometry-optimized Tm2PdRh structure.

Energy of formation from the pure elements (eV per atom): -0.954

Cell lengths 6.8525, 6.8525, 6.8525 Å; angles 90.00, 90.00, 90.00 degrees
Space group Fm-3m (No. 225)
One atom of each set of equivalent atoms:
Tm 0.2500 0.2500 0.2500 [8 per cell]
Pd 0.0000 0.0000 0.0000 [4 per cell]
Rh 0.0000 0.0000 0.5000 [4 per cell]


# 5
## U2Pd3Rh3 (PBE-GGA)

Data for a geometry-optimized U2Pd3Rh3 structure.

Energy of formation from the pure elements (eV per atom): -0.618

Cell lengths 3.9551, 4.0727, 8.3896 Å; angles 90.00, 90.00, 90.00 degrees
Space group Pmmm (No. 47)
One atom of each set of equivalent atoms:
U 0.0000 0.0000 0.2430 [2 per cell]
Pd 0.0000 0.5000 0.0000 [1 per cell]
Pd 0.0000 0.5000 0.5000 [1 per cell]
Pd 0.5000 0.0000 0.5000 [1 per cell]
Rh 0.5000 0.0000 0.0000 [1 per cell]
Rh 0.5000 0.5000 0.2501 [2 per cell]


# 6
## Zn2PdRh (PBE-GGA)

Data for a geometry-optimized Zn2PdRh structure.

Energy of formation from the pure elements (eV per atom): -0.515

Cell lengths 6.0839, 6.0839, 6.0839 Å; angles 90.00, 90.00, 90.00 degrees
Space group Fm-3m (No. 225)
One atom of each set of equivalent atoms:
Zn 0.2500 0.2500 0.2500 [8 per cell]
Pd 0.0000 0.0000 0.0000 [4 per cell]
Rh 0.0000 0.0000 0.5000 [4 per cell]


# 7
## Zr2Pd3Rh3 (PBE-GGA)

Data for a geometry-optimized Zr2Pd3Rh3 structure.

Energy of formation from the pure elements (eV per atom): -0.712

Cell lengths 4.0124, 4.0460, 7.9262 Å; angles 90.00, 90.00, 90.00 degrees
Space group Pmmm (No. 47)
One atom of each set of equivalent atoms:
Zr 0.0000 0.0000 0.2466 [2 per cell]
Pd 0.0000 0.5000 0.5000 [1 per cell]
Pd 0.5000 0.5000 0.2494 [2 per cell]
Rh 0.0000 0.5000 0.0000 [1 per cell]
Rh 0.5000 0.0000 0.0000 [1 per cell]
Rh 0.5000 0.0000 0.5000 [1 per cell]


# 8
## Sc2PdRu (PBE-GGA)

Data for a geometry-optimized Sc2PdRu structure.

Energy of formation from the pure elements (eV per atom): -0.784

Cell lengths 6.5142, 6.5142, 6.5142 Å; angles 90.00, 90.00, 90.00 degrees
Space group Fm-3m (No. 225)
One atom of each set of equivalent atoms:
Sc 0.2500 0.2500 0.2500 [8 per cell]
Pd 0.0000 0.0000 0.0000 [4 per cell]
Ru 0.0000 0.0000 0.5000 [4 per cell]


# 9
## Sm2PdRu (PBE-GGA)

Data for a geometry-optimized Sm2PdRu structure.

Energy of formation from the pure elements (eV per atom): -0.512

Cell lengths 7.0552, 7.0552, 7.0552 Å; angles 90.00, 90.00, 90.00 degrees
Space group Fm-3m (No. 225)
One atom of each set of equivalent atoms:
Sm 0.2500 0.2500 0.2500 [8 per cell]
Pd 0.0000 0.0000 0.0000 [4 per cell]
Ru 0.0000 0.0000 0.5000 [4 per cell]


# 10
## Ta2Pd3Ru3 (PBE-GGA)

Data for a geometry-optimized Ta2Pd3Ru3 structure.

Energy of formation from the pure elements (eV per atom): -0.321

Cell lengths 3.9264, 4.0339, 7.6628 Å; angles 90.00, 90.00, 90.00 degrees
Space group Pmmm (No. 47)
One atom of each set of equivalent atoms:
Ta 0.0000 0.0000 0.2440 [2 per cell]
Pd 0.0000 0.5000 0.5000 [1 per cell]
Pd 0.5000 0.5000 0.2495 [2 per cell]
Ru 0.0000 0.5000 0.0000 [1 per cell]
Ru 0.5000 0.0000 0.0000 [1 per cell]
Ru 0.5000 0.0000 0.5000 [1 per cell]


# 11
## Y2PdRu (PBE-GGA)

Data for a geometry-optimized Y2PdRu structure.

Energy of formation from the pure elements (eV per atom): -0.623

Cell lengths 6.9300, 6.9300, 6.9300 Å; angles 90.00, 90.00, 90.00 degrees
Space group Fm-3m (No. 225)
One atom of each set of equivalent atoms:
Y 0.2500 0.2500 0.2500 [8 per cell]
Pd 0.0000 0.0000 0.0000 [4 per cell]
Ru 0.0000 0.0000 0.5000 [4 per cell]


# 12
## Pd16S7 (PBE-GGA)

Data for a geometry-optimized Pd16S7 structure.

Energy of formation from the pure elements (eV per atom): -0.400

Cell lengths 9.0633, 9.0633, 9.0633 Å; angles 90.00, 90.00, 90.00 degrees
Space group I-43m (No. 217)
One atom of each set of equivalent atoms:
Pd 0.0835 0.3311 0.3311 [24 per cell]
Pd 0.1147 0.1147 0.8853 [8 per cell]
S 0.0000 0.0000 0.5000 [6 per cell]
S 0.1560 0.1560 0.1560 [8 per cell]


# 13
## Pd4S (PBE-GGA)

Data for a geometry-optimized Pd4S structure.

Energy of formation from the pure elements (eV per atom): -0.278

Cell lengths 5.1971, 5.1971, 5.6662 Å; angles 90.00, 90.00, 90.00 degrees
Space group P-42_1c (No. 114)
One atom of each set of equivalent atoms:
Pd 0.1468 0.2675 0.1574 [8 per cell]
S 0.0000 0.0000 0.5000 [2 per cell]


# 14
## PdS (PBE-GGA)

Data for a geometry-optimized PdS structure.

Energy of formation from the pure elements (eV per atom): -0.604

Cell lengths 6.5244, 6.5244, 6.6877 Å; angles 90.00, 90.00, 90.00 degrees
Space group P4_2/m (No. 84)
One atom of each set of equivalent atoms:
Pd 0.0000 0.0000 0.2500 [2 per cell]
Pd 0.0000 0.5000 0.0000 [2 per cell]
Pd 0.2576 0.5303 0.5000 [4 per cell]
S 0.1934 0.3073 0.2277 [8 per cell]


# 15
## SbPdS (PBE-GGA)

Data for a geometry-optimized SbPdS structure.

Energy of formation from the pure elements (eV per atom): -0.557

Cell lengths 6.2750, 6.2750, 6.2750 Å; angles 90.00, 90.00, 90.00 degrees
Space group P2_13 (No. 198)
One atom of each set of equivalent atoms:
Sb 0.1204 0.3796 0.6204 [4 per cell]
Pd 0.0102 0.9898 0.4898 [4 per cell]
S 0.1103 0.1103 0.1103 [4 per cell]


# 16
## PdSeS (PBE-GGA)

Data for a geometry-optimized PdSeS structure.

Energy of formation from the pure elements (eV per atom): -0.432

Cell lengths 5.6524, 5.7695, 8.3108 Å; angles 90.00, 90.00, 90.00 degrees
Space group P2_12_12_1 (No. 19)
One atom of each set of equivalent atoms:
Pd 0.0062 0.0078 0.4993 [4 per cell]
Se 0.1094 0.6137 0.4121 [4 per cell]
S 0.1074 0.8835 0.9233 [4 per cell]


# 17
## SmPd3S4 (PBE-GGA)

Data for a geometry-optimized SmPd3S4 structure.

Energy of formation from the pure elements (eV per atom): -1.157

Cell lengths 6.7481, 6.7481, 6.7481 Å; angles 90.00, 90.00, 90.00 degrees
Space group Pm-3n (No. 223)
One atom of each set of equivalent atoms:
Sm 0.0000 0.0000 0.0000 [2 per cell]
Pd 0.0000 0.2500 0.5000 [6 per cell]
S 0.2500 0.2500 0.2500 [8 per cell]


# 18
## Ta20Pd9S50 (PBE-GGA)

Data for a geometry-optimized Ta20Pd9S50 structure.

Energy of formation from the pure elements (eV per atom): -1.212

Cell lengths 12.6151, 16.5247, 15.4738 Å; angles 90.00, 105.11, 90.00 degrees
Space group C2/m (No. 12)
One atom of each set of equivalent atoms:
Ta 0.0753 0.0000 0.1827 [4 per cell]
Ta 0.0751 0.1996 0.1825 [8 per cell]
Ta 0.0749 0.3989 0.1834 [8 per cell]
Ta 0.1510 0.1006 0.3769 [8 per cell]
Ta 0.1509 0.2994 0.3764 [8 per cell]
Ta 0.1508 0.5000 0.3776 [4 per cell]
Pd 0.0000 0.1000 0.0000 [4 per cell]
Pd 0.0000 0.0998 0.5000 [4 per cell]
Pd 0.0000 0.3001 0.0000 [4 per cell]
Pd 0.0000 0.3044 0.5000 [4 per cell]
Pd 0.0000 0.5000 0.0000 [2 per cell]
S 0.0035 0.0000 0.3159 [4 per cell]
S 0.0027 0.2001 0.3153 [8 per cell]
S 0.0026 0.4008 0.3177 [8 per cell]
S 0.0703 0.5000 0.8734 [4 per cell]
S 0.0719 0.0999 0.8743 [8 per cell]
S 0.0717 0.2999 0.8740 [8 per cell]
S 0.1467 0.2025 0.5052 [8 per cell]
S 0.1510 0.0000 0.5044 [4 per cell]
S 0.1516 0.3996 0.5033 [8 per cell]
S 0.1683 0.5000 0.1108 [4 per cell]
S 0.1694 0.2999 0.1100 [8 per cell]
S 0.1698 0.0999 0.1098 [8 per cell]
S 0.2474 0.2002 0.3042 [8 per cell]
S 0.2475 0.0000 0.3046 [4 per cell]
S 0.2475 0.4007 0.3050 [8 per cell]


# 19
## Tl2Pd3S2 (PBE-GGA)

Data for a geometry-optimized Tl2Pd3S2 structure.

Energy of formation from the pure elements (eV per atom): -0.493

Cell lengths 5.9828, 5.9828, 14.1497 Å; angles 90.00, 90.00, 120.00 degrees
Space group R-3m (No. 166, hexagonal axes)
One atom of each set of equivalent atoms:
Tl 0.0000 0.0000 0.0000 [3 per cell]
Tl 0.0000 0.0000 0.5000 [3 per cell]
Pd 0.0000 0.5000 0.0000 [9 per cell]
S 0.0000 0.0000 0.2209 [6 per cell]